P:
DFT (PBE) results for crystalline Ti45Se16 at its relaxed geometry.

Values from the calculation:
* crystal system: monoclinic
* symmetry: No. 12

POSCAR file:
```
Ti45Se16
1.0
1.7434 17.6940 0.0000
-1.7434 17.6940 0.0000
0.0000 0.4953 16.4711
Ti Se
45 16
direct
0.0000 0.0000 0.5000
0.5280 0.5280 0.6336
0.4720 0.4720 0.3664
0.4409 0.4409 0.5591
0.5591 0.5591 0.4409
0.9131 0.9131 0.4496
0.0869 0.0869 0.5504
0.8966 0.8966 0.6648
0.1034 0.1034 0.3352
0.3545 0.3545 0.5272
0.6455 0.6455 0.4728
0.3792 0.3792 0.3325
0.6208 0.6208 0.6675
0.2722 0.2722 0.6593
0.7278 0.7278 0.3407
0.2907 0.2907 0.3847
0.7093 0.7093 0.6153
0.7796 0.7796 0.5122
0.2204 0.2204 0.4878
0.4483 0.4483 0.7510
0.5517 0.5517 0.2490
0.5673 0.5673 0.8342
0.4327 0.4327 0.1658
0.4789 0.4789 0.9082
0.5211 0.5211 0.0918
0.0060 0.0060 0.7943
0.9940 0.9940 0.2057
0.9094 0.9094 0.8775
0.0906 0.0906 0.1225
0.9634 0.9634 0.0432
0.0366 0.0366 0.9568
0.8205 0.8205 0.7936
0.1795 0.1795 0.2064
0.3413 0.3413 0.9323
0.6587 0.6587 0.0677
0.2997 0.2997 0.1000
0.7003 0.7003 0.9000
0.7826 0.7826 0.9817
0.2174 0.2174 0.0183
0.8666 0.8666 0.0663
0.1334 0.1334 0.9337
0.7370 0.7370 0.1393
0.2630 0.2630 0.8607
0.8131 0.8131 0.2505
0.1869 0.1869 0.7495
0.2592 0.2592 0.2431
0.7408 0.7408 0.7569
0.3605 0.3605 0.1847
0.6395 0.6395 0.8153
0.4123 0.4123 0.9974
0.5877 0.5877 0.0026
0.3757 0.3757 0.7828
0.6243 0.6243 0.2172
0.8264 0.8264 0.6345
0.1736 0.1736 0.3655
0.8408 0.8408 0.4134
0.1592 0.1592 0.5866
0.9729 0.9729 0.6489
0.0271 0.0271 0.3511
0.0702 0.0702 0.7110
0.9298 0.9298 0.2890
```

=====

Q:
DFT (PBE) results for crystalline Ti45Se16 at its relaxed geometry.

Values from the calculation:
* crystal system: triclinic
* symmetry: No. 1

POSCAR file:
```
Ti45Se16
1.0
-3.4654 0.0000 0.0000
-0.0017 -16.4597 0.0000
1.7327 0.4870 17.6954
Ti Se
45 16
direct
0.2721 0.6564 0.4560
0.6586 0.0675 0.6850
0.6480 0.4697 0.7123
0.6227 0.6673 0.7569
0.4409 0.5593 0.1191
0.3585 0.5299 0.2869
0.3812 0.3321 0.2435
0.4734 0.3683 0.0577
0.5679 0.8343 0.8658
0.9656 0.0448 0.0735
0.7334 0.3420 0.5439
0.5617 0.4411 0.8812
0.6978 0.9001 0.5990
0.1344 0.9338 0.7315
0.7402 0.1391 0.5265
0.3027 0.0992 0.4010
0.7821 0.9803 0.4380
0.1849 0.7486 0.6272
0.7820 0.5144 0.4410
0.1839 0.2045 0.6402
0.2620 0.8602 0.4735
0.9948 0.2037 0.0138
0.0924 0.1249 0.8214
0.0008 0.4999 0.0003
0.8977 0.6636 0.2061
0.9128 0.8747 0.1789
0.9157 0.4493 0.1725
0.0882 0.5506 0.8270
0.5232 0.0912 0.9576
0.4350 0.1655 0.1343
0.5289 0.6313 0.9422
0.5547 0.2461 0.8953
0.2932 0.3854 0.4204
0.1067 0.3367 0.7939
0.8215 0.7943 0.3600
0.4473 0.7539 0.1049
0.0074 0.7965 0.9865
0.8683 0.0653 0.2698
0.7117 0.6137 0.5794
0.2236 0.4845 0.5591
0.3450 0.9312 0.3161
0.2188 0.0194 0.5628
0.4802 0.9087 0.0436
0.8180 0.2506 0.3723
0.0384 0.9550 0.9276
0.0294 0.3498 0.9460
0.1796 0.3636 0.6528
0.3765 0.7815 0.2501
0.6387 0.8156 0.7210
0.9726 0.6504 0.0538
0.2636 0.2417 0.4815
0.5894 0.0021 0.8251
0.0709 0.7111 0.8595
0.3642 0.1835 0.2789
0.1615 0.5846 0.6815
0.8437 0.4153 0.3182
0.6290 0.2181 0.7501
0.8274 0.6353 0.3470
0.7395 0.7574 0.5179
0.4147 0.9973 0.1762
0.9320 0.2888 0.1408
```

=====

R:
DFT (PBE) results for crystalline Ti45Se16 at its relaxed geometry.

Values from the calculation:
* crystal system: triclinic
* symmetry: No. 1

POSCAR file:
```
Ti45Se16
1.0
-2.3283 2.5347 0.4039
-11.0248 -8.7734 -8.5090
-4.1014 -8.5354 15.0563
Ti Se
45 16
direct
0.2721 0.3436 0.5440
0.6586 0.9325 0.3150
0.6480 0.5303 0.2877
0.6227 0.3327 0.2431
0.4409 0.4407 0.8809
0.3585 0.4701 0.7131
0.3812 0.6679 0.7565
0.4734 0.6317 0.9423
0.5679 0.1657 0.1342
0.9656 0.9552 0.9265
0.7334 0.6580 0.4561
0.5617 0.5589 0.1188
0.6978 0.0999 0.4010
0.1344 0.0662 0.2685
0.7402 0.8609 0.4735
0.3027 0.9008 0.5990
0.7821 0.0197 0.5620
0.1849 0.2514 0.3728
0.7820 0.4856 0.5590
0.1839 0.7955 0.3598
0.2620 0.1398 0.5265
0.9948 0.7963 0.9862
0.0924 0.8751 0.1786
0.0008 0.5001 0.9997
0.8977 0.3364 0.7939
0.9128 0.1253 0.8211
0.9157 0.5507 0.8275
0.0882 0.4494 0.1730
0.5232 0.9088 0.0424
0.4350 0.8345 0.8657
0.5289 0.3687 0.0578
0.5547 0.7539 0.1047
0.2932 0.6146 0.5796
0.1067 0.6633 0.2061
0.8215 0.2057 0.6400
0.4473 0.2461 0.8951
0.0074 0.2035 0.0135
0.8683 0.9347 0.7302
0.7117 0.3863 0.4206
0.2236 0.5155 0.4409
0.3450 0.0688 0.6839
0.2188 0.9806 0.4372
0.4802 0.0913 0.9564
0.8180 0.7494 0.6278
0.0384 0.0450 0.0724
0.0294 0.6502 0.0540
0.1796 0.6364 0.3472
0.3765 0.2185 0.7499
0.6387 0.1844 0.2790
0.9726 0.3496 0.9462
0.2636 0.7583 0.5185
0.5894 0.9979 0.1749
0.0709 0.2889 0.1405
0.3642 0.8165 0.7211
0.1615 0.4154 0.3185
0.8437 0.5847 0.6818
0.6290 0.7819 0.2499
0.8274 0.3647 0.6530
0.7395 0.2426 0.4821
0.4147 0.0027 0.8238
0.9320 0.7112 0.8592
```

=====

Which structure is the most stable? The one labeled R.